Record 1
A plane-wave DFT calculation with PBE-GGA was carried out for a relaxed structure of BaSrPdF6.

a = 9.106 Å, b = 9.106 Å, c = 6.066 Å
α = 90.00°, β = 90.00°, γ = 140.91°
Sites, in units of the cell vectors:
F 0.581 0.743 0.159
F 0.989 0.503 0.753
F 0.489 0.003 0.747
F 0.255 0.080 0.339
F 0.757 0.919 0.659
F 0.920 0.745 0.661
F 0.081 0.243 0.341
F 0.997 0.511 0.253
F 0.497 0.011 0.247
F 0.755 0.580 0.161
F 0.257 0.419 0.841
F 0.420 0.245 0.839
Sr 0.660 0.340 0.500
Sr 0.160 0.840 0.000
Pd 0.004 0.996 0.500
Pd 0.504 0.496 0.000
Ba 0.336 0.664 0.500
Ba 0.836 0.164 0.000

DFT formation energy	-2861.4	kJ/mol of formula units



Record 2
A plane-wave DFT calculation with PBE-GGA was carried out for a relaxed structure of CdSeO4.

a = 7.181 Å, b = 6.718 Å, c = 8.329 Å
α = 52.93°, β = 90.00°, γ = 90.00°
Sites, in units of the cell vectors:
O 0.291 0.392 0.891
O 0.150 0.882 0.604
O 0.850 0.118 0.396
O 0.709 0.608 0.109
O 0.209 0.392 0.391
O 0.791 0.608 0.609
O 0.650 0.118 0.896
O 0.004 0.832 0.245
O 0.102 0.652 0.022
O 0.898 0.348 0.978
O 0.398 0.652 0.522
O 0.602 0.348 0.478
O 0.496 0.832 0.745
O 0.996 0.168 0.755
O 0.350 0.882 0.104
O 0.504 0.168 0.255
Se 0.336 0.690 0.696
Se 0.836 0.310 0.804
Se 0.164 0.690 0.196
Se 0.664 0.310 0.304
Cd 0.144 0.190 0.220
Cd 0.644 0.810 0.280
Cd 0.356 0.190 0.720
Cd 0.856 0.810 0.780

DFT formation energy	-726.8	kJ/mol of formula units



Record 3
A plane-wave DFT calculation with PBE-GGA was carried out for a relaxed structure of K5ThF9.

a = 7.618 Å, b = 7.618 Å, c = 10.910 Å
α = 90.00°, β = 90.00°, γ = 117.28°
Sites, in units of the cell vectors:
K 0.355 0.143 0.401
K 0.578 0.422 0.716
K 0.422 0.578 0.216
K 0.645 0.857 0.901
K 0.605 0.877 0.553
K 0.877 0.605 0.053
K 0.123 0.395 0.553
K 0.395 0.123 0.053
K 0.857 0.645 0.401
K 0.143 0.355 0.901
F 0.785 0.850 0.179
F 0.150 0.215 0.179
F 0.517 0.483 0.960
F 0.215 0.150 0.679
F 0.505 0.946 0.272
F 0.054 0.495 0.272
F 0.800 0.200 0.041
F 0.756 0.244 0.449
F 0.850 0.785 0.679
F 0.200 0.800 0.541
F 0.495 0.054 0.772
F 0.483 0.517 0.460
F 0.040 0.960 0.906
F 0.652 0.348 0.224
F 0.946 0.505 0.772
F 0.348 0.652 0.724
F 0.244 0.756 0.949
F 0.960 0.040 0.406
Th 0.162 0.838 0.750
Th 0.838 0.162 0.250

DFT formation energy	-5090.9	kJ/mol of formula units



Record 4
A plane-wave DFT calculation with PBE-GGA was carried out for a relaxed structure of CaGe2Au2.

a = 6.113 Å, b = 6.113 Å, c = 6.113 Å
α = 136.62°, β = 136.62°, γ = 63.03°
Sites, in units of the cell vectors:
Au 0.750 0.250 0.500
Au 0.250 0.750 0.500
Ge 0.381 0.381 0.000
Ge 0.619 0.619 0.000
Ca 0.000 0.000 0.000

DFT formation energy	-210.6	kJ/mol of formula units